Record 1
DFT (GGA-PBE) results for crystalline Ce3Co11B4 at its relaxed geometry.

extended XYZ file:
```
18
Lattice="5.021 0.000 0.000 -2.510 4.348 0.000 0.000 0.000 9.866" Properties=species:S:1:pos:R:3 pbc="T T T"
Co 1.255 2.174 7.844
Co 2.510 0.000 7.844
Ce 0.000 0.000 3.345
Co 1.255 2.174 4.933
Co 1.255 2.174 2.022
Co 2.510 0.000 2.022
B 0.000 2.899 3.458
Co 0.000 2.899 0.000
Co 2.510 0.000 4.933
Co -1.255 2.174 2.022
Ce 0.000 0.000 6.520
B 0.000 2.899 6.408
Ce 0.000 0.000 0.000
B 2.510 1.449 6.408
Co -1.255 2.174 7.844
Co 2.510 1.449 0.000
B 2.510 1.449 3.458
Co -1.255 2.174 4.933
```

Output
- magnetization (μB per cell) = 3.595
- energy of formation from the pure elements (eV/atom) = -0.383
- E_tot (eV per cell) = -129.60

***

Record 2
DFT (GGA-PBE) results for crystalline Mg7Ir3 at its relaxed geometry.

extended XYZ file:
```
20
Lattice="-4.635 4.635 4.635 4.635 -4.635 4.635 4.635 4.635 -4.635" Properties=species:S:1:pos:R:3 pbc="T T T"
Ir 3.264 0.000 0.000
Mg 1.440 1.440 -1.440
Mg -3.195 3.195 3.195
Ir 0.000 6.005 0.000
Mg 0.000 4.635 2.317
Mg 3.195 3.195 -3.195
Mg 2.317 0.000 4.635
Mg 4.635 2.317 0.000
Ir 6.005 0.000 0.000
Mg 2.317 4.635 0.000
Ir 0.000 0.000 3.264
Mg 1.440 -1.440 1.440
Ir 0.000 3.264 0.000
Mg 0.000 2.317 4.635
Mg 3.195 3.195 3.195
Ir 0.000 0.000 6.005
Mg -1.440 1.440 1.440
Mg 1.440 1.440 1.440
Mg 4.635 0.000 2.317
Mg 3.195 -3.195 3.195
```

Output
- magnetization (μB per cell) = 0.001
- energy of formation from the pure elements (eV/atom) = -0.235
- E_tot (eV per cell) = -80.14

***

Record 3
DFT (GGA-PBE) results for crystalline Te6MoW3Se2 at its relaxed geometry.

extended XYZ file:
```
12
Lattice="1.749 -3.029 0.000 1.749 3.029 0.000 0.000 0.000 39.676" Properties=species:S:1:pos:R:3 pbc="T T T"
Se 0.000 0.000 24.465
W 1.749 1.010 11.181
Te 1.749 1.010 20.478
Te 1.749 1.010 16.792
Te 0.000 0.000 13.023
Te 0.000 0.000 9.338
W 0.000 0.000 18.635
Te 1.749 1.010 5.558
Mo 0.000 0.000 3.726
Te 1.749 1.010 1.895
Se 0.000 0.000 27.711
W 1.749 1.010 26.089
```

Output
- magnetization (μB per cell) = 0.000
- energy of formation from the pure elements (eV/atom) = -0.304
- E_tot (eV per cell) = -78.28
- energy with MP2020 corrections (eV per atom) = -6.602
- polymorph energy (0 for the lowest one) (meV/atom) = 1

***

Repeat the first record exactly.
DFT (GGA-PBE) results for crystalline Ce3Co11B4 at its relaxed geometry.

extended XYZ file:
```
18
Lattice="5.021 0.000 0.000 -2.510 4.348 0.000 0.000 0.000 9.866" Properties=species:S:1:pos:R:3 pbc="T T T"
Co 1.255 2.174 7.844
Co 2.510 0.000 7.844
Ce 0.000 0.000 3.345
Co 1.255 2.174 4.933
Co 1.255 2.174 2.022
Co 2.510 0.000 2.022
B 0.000 2.899 3.458
Co 0.000 2.899 0.000
Co 2.510 0.000 4.933
Co -1.255 2.174 2.022
Ce 0.000 0.000 6.520
B 0.000 2.899 6.408
Ce 0.000 0.000 0.000
B 2.510 1.449 6.408
Co -1.255 2.174 7.844
Co 2.510 1.449 0.000
B 2.510 1.449 3.458
Co -1.255 2.174 4.933
```

Output
- magnetization (μB per cell) = 3.595
- energy of formation from the pure elements (eV/atom) = -0.383
- E_tot (eV per cell) = -129.60